(1)
CsB9O14 | r2SCAN | optimized geometry

Results
Crystal system: orthorhombic

Cell: 8.776 8.843 15.598 Å, 90.00 90.00 90.00°
Space group P222_1 (No. 17)
Unique sites:
Cs 0.000 0.039 0.250 (multiplicity 2)
Cs 0.485 0.500 0.500 (multiplicity 2)
B 0.063 0.330 0.449 (multiplicity 4)
B 0.129 0.161 0.561 (multiplicity 4)
B 0.136 0.211 0.971 (multiplicity 4)
B 0.176 0.468 0.318 (multiplicity 4)
B 0.282 0.344 0.776 (multiplicity 4)
B 0.318 0.388 0.196 (multiplicity 4)
B 0.354 0.134 0.877 (multiplicity 4)
B 0.380 0.051 0.619 (multiplicity 4)
B 0.427 0.133 0.141 (multiplicity 4)
O 0.023 0.141 0.922 (multiplicity 4)
O 0.088 0.299 0.040 (multiplicity 4)
O 0.100 0.438 0.391 (multiplicity 4)
O 0.174 0.263 0.499 (multiplicity 4)
O 0.203 0.384 0.701 (multiplicity 4)
O 0.220 0.353 0.264 (multiplicity 4)
O 0.226 0.070 0.604 (multiplicity 4)
O 0.283 0.203 0.952 (multiplicity 4)
O 0.293 0.200 0.797 (multiplicity 4)
O 0.317 0.029 0.130 (multiplicity 4)
O 0.343 0.462 0.824 (multiplicity 4)
O 0.397 0.285 0.152 (multiplicity 4)
O 0.420 0.097 0.362 (multiplicity 4)
O 0.482 0.162 0.614 (multiplicity 4)


(2)
CsB5O8 | r2SCAN | optimized geometry

Results
Crystal system: orthorhombic

Cell: 7.781 12.095 15.011 Å, 90.00 90.00 90.00°
Space group Pbca (No. 61)
Unique sites:
Cs 0.040 0.214 0.123 (multiplicity 8)
B 0.022 0.531 0.161 (multiplicity 8)
B 0.034 0.229 0.375 (multiplicity 8)
B 0.066 0.096 0.792 (multiplicity 8)
B 0.114 0.596 0.580 (multiplicity 8)
B 0.177 0.074 0.456 (multiplicity 8)
O 0.032 0.537 0.647 (multiplicity 8)
O 0.055 0.639 0.174 (multiplicity 8)
O 0.092 0.505 0.905 (multiplicity 8)
O 0.093 0.706 0.574 (multiplicity 8)
O 0.100 0.050 0.711 (multiplicity 8)
O 0.121 0.200 0.810 (multiplicity 8)
O 0.158 0.182 0.438 (multiplicity 8)
O 0.216 0.536 0.522 (multiplicity 8)


(3)
Cu2B3Ir4 | r2SCAN | optimized geometry

Results
Crystal system: orthorhombic

Cell: 2.808 2.840 25.519 Å, 90.00 90.00 90.00°
Space group Amm2 (No. 38)
Unique sites:
Cu 0.000 0.000 0.000 (multiplicity 2)
Cu 0.500 0.000 0.445 (multiplicity 2)
B 0.000 0.000 0.106 (multiplicity 2)
B 0.500 0.000 0.339 (multiplicity 2)
B 0.500 0.000 0.731 (multiplicity 2)
Ir 0.000 0.000 0.271 (multiplicity 2)
Ir 0.000 0.000 0.873 (multiplicity 2)
Ir 0.500 0.000 0.170 (multiplicity 2)
Ir 0.500 0.000 0.570 (multiplicity 2)


(4)
CuBIr | r2SCAN | optimized geometry

Results
Crystal system: orthorhombic

Cell: 8.678 9.947 6.527 Å, 90.00 90.00 90.00°
Space group Fdd2 (No. 43)
Unique sites:
Cu 0.085 0.114 0.000 (multiplicity 16)
B 0.059 0.232 0.687 (multiplicity 16)
Ir 0.016 0.137 0.413 (multiplicity 16)


(5)
Li2CuB4Pb2O10 | r2SCAN | optimized geometry

Results
Crystal system: monoclinic

Cell: 16.738 4.811 13.914 Å, 90.00 125.34 90.00°
Space group C2/c (No. 15)
Unique sites:
Li 0.184 0.184 0.133 (multiplicity 8)
Cu 0.250 0.250 0.000 (multiplicity 4)
B 0.125 0.291 0.479 (multiplicity 8)
B 0.152 0.314 0.318 (multiplicity 8)
Pb 0.032 0.183 0.640 (multiplicity 8)
O 0.083 0.120 0.518 (multiplicity 8)
O 0.116 0.188 0.379 (multiplicity 8)
O 0.127 0.194 0.216 (multiplicity 8)
O 0.167 0.464 0.029 (multiplicity 8)
O 0.203 0.444 0.855 (multiplicity 8)


(6)
CuB2O4 | r2SCAN | optimized geometry

Results
Crystal system: tetragonal

Cell: 11.491 11.491 5.626 Å, 90.00 90.00 90.00°
Space group I-42d (No. 122)
Unique sites:
Cu 0.000 0.000 0.000 (multiplicity 4)
Cu 0.082 0.750 0.625 (multiplicity 8)
B 0.001 0.250 0.125 (multiplicity 8)
B 0.148 0.185 0.803 (multiplicity 16)
O 0.070 0.159 0.005 (multiplicity 16)
O 0.074 0.688 0.952 (multiplicity 16)
O 0.084 0.250 0.625 (multiplicity 8)
O 0.247 0.750 0.625 (multiplicity 8)


Number 1: formation enthalpy at 0 K -2575 meV per atom, mass density 2.49 g/cm3. Number 2: formation enthalpy at 0 K -2599 meV per atom, mass density 2.96 g/cm3. Number 3: formation enthalpy at 0 K -208 meV per atom, mass density 15.15 g/cm3. Number 4: formation enthalpy at 0 K -212 meV per atom, mass density 12.57 g/cm3. Number 5: formation enthalpy at 0 K -2144 meV per atom, mass density 5.05 g/cm3. Number 6: formation enthalpy at 0 K -2108 meV per atom, mass density 4.00 g/cm3.